Crystalline Ag3RuO4 at its relaxed geometry. Source: the Materials Project, functional PBE.

abc: 13.992 11.506 12.719
angles: 90.00 120.25 90.00
Space group C2/c (No. 15)
One atom of each set of equivalent atoms:
Ag (0.000, 0.000, 0.000) (multiplicity 4)
Ag (0.000, 0.049, 0.250) (multiplicity 4)
Ag (0.000, 0.398, 0.750) (multiplicity 4)
Ag (0.000, 0.500, 0.000) (multiplicity 4)
Ag (0.119, 0.175, 0.761) (multiplicity 8)
Ag (0.126, 0.331, 0.225) (multiplicity 8)
Ag (0.134, 0.251, 0.011) (multiplicity 8)
Ag (0.219, 0.089, 0.229) (multiplicity 8)
Ru (0.135, 0.242, 0.501) (multiplicity 8)
Ru (0.235, 0.486, 0.492) (multiplicity 8)
O (0.004, 0.174, 0.106) (multiplicity 8)
O (0.095, 0.382, 0.400) (multiplicity 8)
O (0.102, 0.295, 0.618) (multiplicity 8)
O (0.126, 0.072, 0.915) (multiplicity 8)
O (0.175, 0.398, 0.869) (multiplicity 8)
O (0.176, 0.453, 0.090) (multiplicity 8)
O (0.206, 0.100, 0.602) (multiplicity 8)
O (0.211, 0.170, 0.409) (multiplicity 8)

Summary:
total magnetic moment: 39.8 Bohr magnetons per cell
energy of formation: -700 meV per atom
offset from the most stable computed form: 1.3 kJ per mole of atoms
crystal system: monoclinic

Crystalline LiDySe2 at its relaxed geometry. Source: the Materials Project, functional PBE.

abc: 5.694 5.694 11.576
angles: 90.00 90.00 90.00
Space group I4_1/amd (No. 141, origin choice 2)
One atom of each set of equivalent atoms:
Li (0.000, 0.250, 0.375) (multiplicity 4)
Dy (0.000, 0.250, 0.875) (multiplicity 4)
Se (0.000, 0.250, 0.122) (multiplicity 8)

Summary:
energy of formation: -1913 meV per atom
crystal system: tetragonal

Crystalline Lu5Si10Ir4 at its relaxed geometry. Source: the Materials Project, functional PBE.

abc: 12.553 12.553 4.210
angles: 90.00 90.00 90.00
Space group P4/mbm (No. 127)
One atom of each set of equivalent atoms:
Lu (0.000, 0.000, 0.000) (multiplicity 2)
Lu (0.116, 0.384, 0.500) (multiplicity 4)
Lu (0.174, 0.674, 0.500) (multiplicity 4)
Si (0.004, 0.845, 0.500) (multiplicity 8)
Si (0.066, 0.566, 0.000) (multiplicity 4)
Si (0.165, 0.201, 0.000) (multiplicity 8)
Ir (0.020, 0.754, 0.000) (multiplicity 8)

Summary:
energy of formation: -884 meV per atom
crystal system: tetragonal

Crystalline SnS at its relaxed geometry. Source: the Materials Project, functional PBE.

abc: 6.530 6.530 6.530
angles: 90.00 90.00 90.00
Space group F-43m (No. 216)
One atom of each set of equivalent atoms:
Sn (0.000, 0.000, 0.000) (multiplicity 4)
S (0.250, 0.250, 0.750) (multiplicity 4)

Summary:
total magnetic moment: 0.0 Bohr magnetons per cell
energy of formation: -411 meV per atom
crystal system: cubic

Crystalline DyB2C2 at its relaxed geometry. Source: the Materials Project, functional PBE.

abc: 3.795 3.795 7.206
angles: 90.00 90.00 90.00
Space group P4_2/mmc (No. 131)
One atom of each set of equivalent atoms:
Dy (0.000, 0.000, 0.250) (multiplicity 2)
B (0.215, 0.500, 0.000) (multiplicity 4)
C (0.187, 0.500, 0.500) (multiplicity 4)

Summary:
total magnetic moment: 0.0 Bohr magnetons per cell
energy of formation: -302 meV per atom
crystal system: tetragonal

Crystalline UGe2Rh2 at its relaxed geometry. Source: the Materials Project, functional PBE.

abc: 4.105 4.105 10.480
angles: 90.00 90.00 90.00
Space group I4/mmm (No. 139)
One atom of each set of equivalent atoms:
U (0.000, 0.000, 0.000) (multiplicity 2)
Ge (0.000, 0.000, 0.382) (multiplicity 4)
Rh (0.000, 0.500, 0.250) (multiplicity 4)

Summary:
total magnetic moment: 0.5 Bohr magnetons per cell
energy of formation: -485 meV per atom
offset from the most stable computed form: 5.5 kJ per mole of atoms
crystal system: tetragonal

| no. | total DFT energy (no corrections) (eV per cell) |
| --- | --- |
| 1 | -646.718 |
| 2 | -80.856 |
| 3 | -258.011 |
| 4 | -33.858 |
| 5 | -75.864 |
| 6 | -75.380 |